A relaxed Th4Fe13Sn5 crystal, computed with PBE.

## Properties
* energy relative to the elements: -456 kJ/mol of formula units

abc: 8.2352 8.2352 12.0589
angles: 90.00 90.00 90.00
Fractional coordinates of all 44 atoms:
Th 0.6553 0.1553 0.5000
Th 0.3447 0.8447 0.5000
Th 0.8447 0.6553 0.5000
Th 0.1553 0.3447 0.5000
Th 0.5000 0.5000 0.7842
Th 0.0000 0.0000 0.7842
Th 0.5000 0.5000 0.2158
Th 0.0000 0.0000 0.2158
Fe 0.1760 0.6760 0.8936
Fe 0.8240 0.3240 0.8936
Fe 0.3240 0.1760 0.8936
Fe 0.6760 0.8240 0.8936
Fe 0.8240 0.3240 0.1064
Fe 0.1760 0.6760 0.1064
Fe 0.6760 0.8240 0.1064
Fe 0.3240 0.1760 0.1064
Fe 0.6246 0.1246 0.8202
Fe 0.3754 0.8754 0.8202
Fe 0.8754 0.6246 0.8202
Fe 0.1246 0.3754 0.8202
Fe 0.3754 0.8754 0.1798
Fe 0.6246 0.1246 0.1798
Fe 0.1246 0.3754 0.1798
Fe 0.8754 0.6246 0.1798
Fe 0.7067 0.5676 0.0000
Fe 0.2933 0.4324 0.0000
Fe 0.7933 0.0676 0.0000
Fe 0.2067 0.9324 0.0000
Fe 0.5676 0.2933 0.0000
Fe 0.4324 0.7067 0.0000
Fe 0.0676 0.2067 0.0000
Fe 0.9324 0.7933 0.0000
Fe 0.0000 0.5000 0.0000
Fe 0.5000 0.0000 0.0000
Sn 0.1464 0.6464 0.6818
Sn 0.8536 0.3536 0.6818
Sn 0.3536 0.1464 0.6818
Sn 0.6464 0.8536 0.6818
Sn 0.8536 0.3536 0.3182
Sn 0.1464 0.6464 0.3182
Sn 0.6464 0.8536 0.3182
Sn 0.3536 0.1464 0.3182
Sn 0.5000 0.5000 0.5000
Sn 0.0000 0.0000 0.5000